Here is EuHfCrBiO6 after structural relaxation from the Materials Project database. Energies are from PBE with a Hubbard U.

```
EuHfCrBiO6
1.0
0.000 -4.022 -4.022
4.022 0.000 -4.022
4.022 -4.022 0.000
Eu Hf Cr Bi O
1 1 1 1 6
Direct
0.250 0.250 0.250
0.500 0.500 0.500
0.000 0.000 0.000
0.750 0.750 0.750
0.755 0.245 0.245
0.245 0.755 0.755
0.755 0.245 0.755
0.245 0.755 0.245
0.755 0.755 0.245
0.245 0.245 0.755
```

=====

Here is KMgFeS2O8 after structural relaxation from the Materials Project database. Energies are from PBE with a Hubbard U.

```
KMgFeS2O8
1.0
-1.888 4.567 1.816
-2.913 -0.308 4.360
5.579 1.400 4.906
K Mg Fe S O
1 1 1 2 8
Direct
0.957 0.956 0.529
0.325 0.322 0.324
0.998 0.998 0.996
0.629 0.630 0.209
0.377 0.376 0.788
0.250 0.687 0.812
0.308 0.731 0.205
0.731 0.308 0.206
0.686 0.250 0.813
0.237 0.236 0.918
0.748 0.748 0.054
0.343 0.341 0.599
0.687 0.694 0.380
```

Output
Polymorph energy (0 for the lowest one) ... 0.0485 eV/atom

=====

Here is Li4Co3Sn5O16 after structural relaxation from the Materials Project database. Energies are from PBE with a Hubbard U.

```
Li4Co3Sn5O16
1.0
3.058 5.327 0.013
-9.160 5.318 0.050
-0.028 0.041 9.864
Li Co Sn O
8 6 10 32
Direct
0.504 0.169 0.891
0.002 0.669 0.893
0.964 0.011 0.985
0.467 0.511 0.985
0.986 0.000 0.499
0.491 0.502 0.498
0.501 0.831 0.405
0.009 0.335 0.405
0.246 0.586 0.216
0.747 0.913 0.714
0.244 0.419 0.711
0.743 0.085 0.215
0.506 0.668 0.713
0.006 0.169 0.713
0.505 0.330 0.214
0.998 0.832 0.216
0.511 0.159 0.497
0.004 0.663 0.495
0.252 0.084 0.214
0.756 0.584 0.213
0.252 0.912 0.715
0.756 0.413 0.716
0.512 0.834 0.985
0.010 0.333 0.982
0.517 0.334 0.589
0.006 0.833 0.595
0.279 0.240 0.345
0.769 0.742 0.345
0.514 0.161 0.106
0.997 0.671 0.100
0.983 0.006 0.311
0.503 0.498 0.313
0.985 0.992 0.804
0.486 0.503 0.799
0.247 0.074 0.589
0.732 0.586 0.601
0.733 0.230 0.335
0.221 0.747 0.347
0.514 0.016 0.333
0.994 0.517 0.346
0.239 0.920 0.094
0.744 0.420 0.093
0.752 0.068 0.603
0.252 0.572 0.600
0.484 0.985 0.848
0.990 0.488 0.846
0.292 0.748 0.838
0.778 0.258 0.848
0.516 0.828 0.616
0.017 0.341 0.609
0.753 0.928 0.103
0.258 0.414 0.098
0.740 0.770 0.840
0.239 0.271 0.836
0.505 0.665 0.095
0.993 0.161 0.100
```

Output
Polymorph energy (0 for the lowest one) ... 0.0115 eV/atom

=====

Here is V3CrO8 after structural relaxation from the Materials Project database. Energies are from PBE with a Hubbard U.

```
V3CrO8
1.0
4.941 -0.090 3.107
1.599 4.678 3.050
0.028 -0.067 6.204
V Cr O
3 1 8
Direct
0.921 0.837 0.911
0.162 0.080 0.166
0.540 0.457 0.538
0.543 0.460 0.035
0.788 0.713 0.256
0.288 0.211 0.257
0.800 0.707 0.815
0.294 0.200 0.821
0.306 0.699 0.281
0.770 0.234 0.282
0.777 0.218 0.793
0.312 0.684 0.792
```

Output
Polymorph energy (0 for the lowest one) ... 0.0408 eV/atom

=====

Here is Mn3Ag4O8 after structural relaxation from the Materials Project database. Energies are from PBE with a Hubbard U.

```
Mn3Ag4O8
1.0
-5.267 -0.590 -7.136
-6.797 -3.510 5.210
-3.234 8.550 1.588
Mn Ag O
12 16 32
Direct
0.126 0.833 0.076
0.342 0.584 0.121
0.592 0.377 0.167
0.091 0.627 0.327
0.838 0.424 0.370
0.628 0.169 0.414
0.878 0.666 0.583
0.666 0.915 0.628
0.419 0.129 0.668
0.919 0.869 0.834
0.169 0.089 0.878
0.379 0.331 0.921
0.990 0.161 0.202
0.299 0.979 0.335
0.120 0.362 0.616
0.408 0.502 0.530
0.790 0.215 0.914
0.626 0.624 0.871
0.177 0.601 0.783
0.265 0.812 0.590
0.881 0.902 0.345
0.953 0.476 0.978
0.673 0.385 0.692
0.251 0.286 0.341
0.988 0.106 0.556
0.491 0.889 0.949
0.729 0.995 0.110
0.546 0.742 0.347
0.912 0.843 0.036
0.155 0.039 0.078
0.337 0.791 0.096
0.118 0.618 0.112
0.369 0.369 0.133
0.552 0.582 0.151
0.802 0.404 0.169
0.599 0.169 0.212
0.105 0.833 0.283
0.302 0.596 0.326
0.051 0.426 0.340
0.868 0.636 0.366
0.614 0.386 0.383
0.840 0.216 0.398
0.656 0.960 0.423
0.416 0.152 0.459
0.092 0.660 0.534
0.867 0.460 0.576
0.666 0.709 0.595
0.888 0.879 0.619
0.639 0.133 0.632
0.455 0.926 0.663
0.206 0.107 0.674
0.416 0.334 0.713
0.912 0.665 0.789
0.705 0.900 0.829
0.959 0.075 0.839
0.140 0.865 0.865
0.390 0.119 0.883
0.168 0.294 0.906
0.363 0.539 0.919
0.595 0.347 0.963
```

Output
Polymorph energy (0 for the lowest one) ... 0.0215 eV/atom

=====

Here is Sr2Nd2TlNi2O9 after structural relaxation from the Materials Project database. Energies are from PBE with a Hubbard U.

```
Sr2Nd2TlNi2O9
1.0
0.000 2.717 14.954
2.697 0.000 14.954
2.697 2.717 0.000
Sr Nd Tl Ni O
2 2 1 2 9
Direct
0.593 0.576 0.424
0.424 0.407 0.593
0.704 0.701 0.299
0.299 0.296 0.704
0.044 0.956 0.044
0.150 0.144 0.856
0.856 0.850 0.150
0.070 0.072 0.928
0.928 0.930 0.070
0.652 0.647 0.854
0.152 0.146 0.353
0.353 0.348 0.152
0.854 0.848 0.652
0.221 0.218 0.782
0.782 0.779 0.221
0.473 0.527 0.473
```

=====

Short version: energy relative to the elements = -27.624, -23.985, -54.159, -28.065, -18.109, -39.379 eV per formula unit, in the order given.
Short version: final energy = -8.49, -5.79, -5.94, -7.66, -5.73, -6.22 eV per atom, in the order given.